1.
The following is a GGA+U calculation of a relaxed KNdEuWO6 crystal, from the Materials Project.

```
10
Lattice="0.0000 -4.2753 -4.2753 4.2753 0.0000 -4.2753 4.2753 -4.2753 0.0000" Properties=species:S:1:pos:R:3 pbc="T T T"
Eu 2.1376 -2.1376 -2.1376
O 4.2753 -4.2753 -2.3224
O 4.2753 -4.2753 -6.2281
O 6.2281 -4.2753 -4.2753
O 2.3224 -4.2753 -4.2753
O 4.2753 -6.2281 -4.2753
O 4.2753 -2.3224 -4.2753
W 4.2753 -4.2753 -4.2753
K 6.4129 -6.4129 -6.4129
Nd 0.0000 0.0000 0.0000
```

Summary:
Energy relative to the elements: -273 kJ per mole of atoms
Magnetization: 7.0 μB per formula unit
Offset from the most stable computed form: 0.022 eV/atom


2.
The following is a GGA+U calculation of a relaxed MnMoO5 crystal, from the Materials Project.

```
14
Lattice="5.5518 0.0000 0.0000 -1.4782 5.6324 0.0000 -0.6476 -1.4606 6.9502" Properties=species:S:1:pos:R:3 pbc="T T T"
O 2.2883 2.3285 2.0265
O 1.1377 1.8433 4.9237
O 3.1715 3.9760 4.3199
O 0.3670 1.5148 0.0080
O 3.9599 1.1272 4.6816
O 1.5783 -0.8213 5.0910
O -0.5339 3.0447 2.2686
O 3.0590 2.6571 6.9422
O 0.2545 0.1959 2.6303
O 1.8477 4.9932 1.8592
Mn 3.3348 4.0918 2.0785
Mn 0.0912 0.0800 4.8717
Mo 0.6019 1.7714 1.7360
Mo 2.8241 2.4005 5.2142
```

Summary:
Energy relative to the elements: -160 kJ per mole of atoms
Magnetization: 3.0 μB per formula unit


3.
The following is a GGA+U calculation of a relaxed LiV3O4 crystal, from the Materials Project.

```
16
Lattice="-0.6206 4.1923 4.3123 -4.8023 -3.5332 -1.4971 -0.6459 -1.6883 5.7825" Properties=species:S:1:pos:R:3 pbc="T T T"
O -3.7972 -3.0885 0.2718
O -4.1298 -0.9466 2.5013
O -4.1505 -3.8631 3.2342
O -1.9186 2.8335 5.3633
O -4.4348 -1.8411 5.2975
O -2.2718 2.0587 8.3257
O -1.9393 -0.0830 6.0964
O -1.6342 0.8115 3.3001
V -3.0344 -0.5148 4.2988
V -0.3103 2.0959 2.1561
V -3.3447 1.5813 6.4550
V -0.9435 3.3480 7.2034
V -1.2666 2.5039 10.0947
V -0.6332 1.2518 5.0473
Li -2.7115 0.3294 1.4076
Li -3.0218 2.4255 3.5637
```

Summary:
Energy relative to the elements: -221 kJ per mole of atoms
Magnetization: 0.0 μB per formula unit
Offset from the most stable computed form: 0.002 eV/atom


4.
The following is a GGA+U calculation of a relaxed LiFeP4O12 crystal, from the Materials Project.

```
72
Lattice="-9.4469 4.2564 7.7789 -4.9927 -0.9649 -5.5353 -6.0630 -9.7518 -2.0272" Properties=species:S:1:pos:R:3 pbc="T T T"
Li -10.7852 -9.0216 -3.3833
Li -9.7175 2.5613 3.5997
Li -8.2939 -3.9023 -1.9249
Li -12.2088 -2.5580 2.1413
O -9.4754 -7.3704 -0.5112
O -15.7396 -5.4217 2.3429
O -9.0215 -0.3378 0.1034
O -16.1391 -6.3086 -0.8055
O -10.6896 -1.4552 1.6944
O -11.6699 2.0881 3.3853
O -9.8130 -5.0051 -1.4780
O -11.2377 -1.1411 -0.7476
O -4.7631 -1.0386 -2.1264
O -13.9042 -5.9094 0.1404
O -8.3151 -0.9639 3.6280
O -5.1237 -6.5749 -2.1914
O -5.7860 -2.1685 1.8939
O -17.6924 -4.4746 1.0575
O -13.8457 -1.1002 0.8158
O -6.5411 -1.7986 -4.5511
O -12.4997 -3.7798 0.5587
O -8.8327 -8.5484 -3.1689
O -12.1875 -5.4964 -3.4115
O -6.5984 -0.5509 0.0760
O -13.7329 1.5067 1.0223
O -6.7697 -7.9670 -0.8059
O -16.7027 -3.1188 2.9186
O -15.3790 0.1146 2.4078
O -11.0273 0.9101 0.7276
O -12.9676 -0.0896 2.8790
O -7.5350 -6.3706 -2.6626
O -12.6494 -5.6486 2.2829
O -7.9693 1.5682 3.8952
O -9.4564 -6.3312 -4.2563
O -12.5333 -8.0285 -3.6788
O -2.8102 -1.9857 -0.8411
O -8.0029 -2.6805 -0.3423
O -12.5364 -2.6158 4.1461
O -7.8533 -0.8117 -2.0665
O -11.4812 -6.1225 0.1130
O -14.0664 -6.7186 -2.1829
O -5.0711 -3.1130 -0.6280
O -6.6570 -5.3601 -0.5994
O -4.3636 -0.1517 1.0220
O -14.7166 -4.2918 -1.6775
O -9.2649 -5.3192 0.9640
O -15.4316 -3.3473 0.8444
O -3.7999 -3.3415 -2.7021
O -6.4362 0.2583 2.3993
O -13.9615 -4.6617 4.7676
O -11.0462 -0.1291 4.4727
O -7.9663 -3.8445 -3.9296
P -4.2079 -2.2911 -1.5585
P -10.5517 -0.5150 0.5557
P -12.1342 0.7798 3.9308
P -7.8831 -1.2170 -0.6042
P -6.5302 -6.6032 -1.4309
P -13.9725 0.1429 1.6473
P -14.8076 -5.7226 -1.1749
P -5.6950 -0.7377 1.3913
P -16.2948 -4.1692 1.7749
P -9.9509 -5.9453 -0.3393
P -7.3676 0.2251 3.7159
P -7.1278 -3.1502 -4.9362
P -13.1350 -6.6854 -3.4995
P -13.3749 -3.3101 5.1526
P -12.6196 -5.2433 0.8206
P -8.3685 -7.2401 -3.7144
Fe -18.1128 -7.2205 -1.4835
Fe -14.7513 -2.4933 -0.7417
Fe -2.3898 0.7602 1.7000
Fe -5.7513 -3.9670 0.9581
```

Summary:
Energy relative to the elements: -239 kJ per mole of atoms
Magnetization: 5.0 μB per formula unit
Offset from the most stable computed form: 0.069 eV/atom


5.
The following is a GGA+U calculation of a relaxed BaNd2CuMo4O16 crystal, from the Materials Project.

```
48
Lattice="5.3878 0.0000 -0.1291 2.6939 -6.4778 -0.0646 0.1604 0.0000 -19.6214" Properties=species:S:1:pos:R:3 pbc="T T T"
Ba 5.4279 -6.1582 -5.0345
Ba 2.8142 -0.3196 -14.7806
O 4.0200 -4.6285 -2.8006
O 4.5682 -2.2018 -0.9931
O 4.0635 -0.2880 -9.1675
O 3.6738 -4.2760 -18.8219
O 4.1785 -6.1898 -10.6476
O 4.1942 -0.5529 -12.0541
O 1.4044 -0.2880 -0.7723
O 3.6490 -3.1270 -8.5174
O 6.4231 -3.3508 -18.3927
O 6.8376 -6.1898 -19.0427
O 1.4293 -2.6135 -15.4343
O 3.4591 -5.3978 -13.4051
O 4.5930 -3.3508 -11.2976
O 7.5570 -5.3978 -16.2852
O 4.0430 -3.8643 -5.6882
O 1.4341 -0.5529 -17.5070
O 2.0083 -1.9287 -6.3692
O 4.1991 -2.6135 -14.1269
O 1.9545 -4.2760 -10.7393
O 6.2337 -4.5491 -13.4459
O 3.4596 -1.9287 -3.5707
O 0.6850 -1.0800 -3.5299
O 6.8128 -3.8643 -4.3808
O 6.8079 -5.9250 -2.3080
O 4.7829 -1.0800 -6.4099
O 4.2220 -1.8493 -17.0145
O 1.8189 -3.1270 -1.4224
O 4.7824 -4.5491 -16.2444
O 4.0478 -5.9250 -7.7609
O 6.2875 -2.2018 -9.0758
O 1.4063 -1.8493 -12.5467
O 6.8357 -4.6285 -7.2683
Nd 5.3757 -4.6172 -0.7690
Nd 2.7620 -1.8606 -10.5151
Nd 2.8664 -1.8606 -19.0460
Nd 5.4801 -4.6172 -9.2999
Cu 5.4279 -2.4302 -5.0345
Cu 2.8142 -4.0476 -14.7806
Mo 2.8974 -5.6840 -17.8191
Mo 5.3446 -0.7938 -1.9960
Mo 2.7309 -5.6840 -11.7421
Mo 5.5111 -0.7938 -8.0730
Mo 5.4536 -3.0502 -12.8986
Mo 2.6795 -3.4276 -3.0233
Mo 5.5625 -3.0502 -16.7917
Mo 2.7884 -3.4276 -6.9165
```

Summary:
Energy relative to the elements: -238 kJ per mole of atoms
Magnetization: 1.0 μB per formula unit


6.
The following is a GGA+U calculation of a relaxed Fe3O4F2 crystal, from the Materials Project.

```
18
Lattice="-1.8492 -3.3943 2.7975 3.5956 -4.0075 -1.6851 5.1634 1.1344 5.5945" Properties=species:S:1:pos:R:3 pbc="T T T"
Fe 5.4988 -4.2423 3.6958
Fe 1.7473 -7.3328 1.1412
Fe 2.2176 -5.5811 3.4595
Fe 2.7562 -3.9333 5.8854
Fe 0.9412 -3.8751 0.6647
Fe 1.4562 -2.1441 3.0806
F 4.8157 -2.5396 2.6266
F 2.5978 -1.9840 6.4895
F 5.2948 -0.7099 4.9883
F 4.2896 -4.2213 0.2226
O 4.1106 -5.3568 2.9366
O 2.2871 -2.6439 1.3666
O 6.9210 -3.2105 4.5246
O 2.1105 -3.7609 4.0933
O 4.6183 -3.6258 5.3277
O -0.0259 -3.0764 2.1581
O 1.5854 -5.4880 1.6406
O 2.8263 -0.9101 3.8196
```

Summary:
Energy relative to the elements: -172 kJ per mole of atoms
Magnetization: 14.0 μB per formula unit
Offset from the most stable computed form: 0.017 eV/atom


7.
The following is a GGA+U calculation of a relaxed K3Mn4P5H3O20 crystal, from the Materials Project.

```
70
Lattice="5.3048 6.3578 0.0000 -5.3048 6.3578 0.0000 0.0000 3.2740 13.4597" Properties=species:S:1:pos:R:3 pbc="T T T"
O -2.8243 6.3383 4.8985
O -3.4633 6.1307 7.3810
O -3.4363 11.5360 12.8124
O -0.3414 8.9216 8.8628
O 0.3847 3.4815 3.0742
O 0.3384 7.0695 4.5910
O 1.9076 9.6423 13.3138
O 0.3414 7.2846 2.1330
O 2.8053 9.6766 8.5524
O 1.5256 13.2398 11.9107
O 1.6998 11.0662 10.6102
O 3.4363 9.8990 6.0826
O -0.3847 5.1185 9.8041
O -4.3319 8.0304 5.9535
O 1.7016 6.5614 9.5868
O -1.9336 6.3414 0.1560
O 0.0109 9.7658 5.8536
O 1.9336 7.9784 6.8858
O 4.3755 8.0173 7.4974
O 2.8243 7.9753 11.6283
O -1.6998 9.4292 3.8804
O 3.4633 4.4937 0.6512
O 4.3319 9.6674 12.6833
O -0.0109 11.4028 12.5835
O -2.8053 8.0396 1.8225
O 2.2285 8.4353 3.4393
O -1.9076 8.0053 6.5840
O -1.5278 2.7529 1.5489
O -1.7016 4.9244 2.8569
O 0.0064 4.5935 0.8818
O -2.2277 7.5513 10.0183
O -0.3871 12.5072 10.3885
O 2.2277 5.9143 3.2885
O -0.3384 8.7065 11.3208
O 1.5278 4.3899 8.2787
O 0.3871 10.8702 3.6586
O -2.2285 10.0723 10.1691
O -1.5256 11.6028 5.1808
O -4.3755 6.3803 0.7675
O -0.0064 6.2305 7.6116
P -1.3061 8.8122 10.0922
P 0.7059 5.6387 8.8548
P -3.1400 7.2693 0.4952
P -3.1017 7.0870 6.2402
P -0.7059 4.0017 2.1250
P 0.7039 11.9893 11.3382
P 3.1017 8.7240 12.9700
P 3.1400 8.9063 7.2250
P 1.3061 7.1752 3.3623
P -0.7039 10.3523 4.6084
H -3.1141 10.3680 8.9932
H -3.1166 7.2608 11.1950
H 5.1755 9.6382 13.3884
H -5.1755 8.0012 6.6586
H 3.1141 8.7310 2.2633
H 3.1166 5.6238 4.4651
K -0.7818 11.6401 7.8659
K -5.3001 8.8060 10.0706
K -0.7700 6.0432 12.3122
K 5.3001 7.1690 3.3408
K 0.7818 10.0031 1.1361
K 0.7700 4.4062 5.5824
Mn 2.3084 10.4884 4.4822
Mn -0.0183 6.3633 0.0037
Mn -1.5376 7.1799 3.3498
Mn 0.0183 8.0003 6.7335
Mn 1.5376 8.8169 10.0796
Mn -2.3139 5.4836 8.9743
Mn 2.3139 3.8466 2.2445
Mn -2.3084 12.1254 11.2120
```

Summary:
Energy relative to the elements: -235 kJ per mole of atoms
Magnetization: 19.0 μB per formula unit


8.
The following is a GGA+U calculation of a relaxed LiCrP3O9 crystal, from the Materials Project.

```
56
Lattice="-6.7549 3.6782 -1.8438 -4.5657 -6.3982 3.9633 0.5098 6.4515 11.0025" Properties=species:S:1:pos:R:3 pbc="T T T"
O -2.8796 2.7530 8.9263
O -4.8070 1.0554 8.5255
O -0.3000 1.6498 3.6565
O -6.6771 5.0430 7.0028
O -9.5304 -1.9201 1.7993
O -4.6567 0.8242 12.2957
O -1.4248 5.1524 8.0641
O -9.0360 2.2989 10.8772
O -6.2566 6.6761 5.1637
O -2.6764 2.3371 3.9123
O -7.6115 -0.7414 3.0333
O -7.1134 2.4990 7.1295
O -1.8666 6.6666 10.1258
O -4.7820 2.6320 10.5466
O -4.4393 6.1955 6.9182
O -9.8014 -1.2884 4.1504
O -9.1081 1.1789 2.5253
O -2.5989 -0.0761 4.6288
O -4.6019 -1.4702 4.0779
O -2.7607 2.4372 12.1240
O -5.3711 -2.2984 8.1404
O -5.0921 3.2850 12.8871
O -6.6860 1.5510 3.1901
O -4.6725 7.4103 9.1634
O -4.5131 1.4751 5.3648
O -5.1041 3.8813 2.3626
O -8.0913 -3.1256 3.5916
O -6.0146 -3.3363 5.8497
O -7.0709 1.0335 11.7362
O -9.3653 0.0643 6.2838
O -4.8968 4.4669 5.2440
O -7.4963 4.0958 9.1400
O -2.7768 -1.0670 2.2714
O -7.2705 0.5957 0.8483
O -2.1023 1.6312 6.3137
O -5.1427 3.6008 8.3260
Li -10.4150 1.3521 7.2627
Li -4.0165 1.1394 -0.3136
Li -1.2683 4.0252 12.3392
Li -5.9218 0.9462 6.9557
Cr -5.4502 2.8744 4.0743
Cr -1.5570 3.2281 7.4812
Cr -6.0007 -2.9083 3.8807
Cr -8.6138 4.2688 10.8078
P -10.0026 -1.1734 5.7536
P -4.3273 2.3789 9.0126
P -8.7766 -1.8629 3.0876
P -6.7146 3.6915 7.9335
P -5.5572 5.5918 5.9717
P -4.2787 2.3744 12.0265
P -6.0930 0.1104 12.6443
P -1.2495 2.9320 3.3608
P -3.0091 1.3596 5.1582
P -4.1237 7.5279 7.7836
P -7.5646 0.7291 2.3054
P -3.1680 -1.2705 3.6943
```

Summary:
Energy relative to the elements: -245 kJ per mole of atoms
Magnetization: 4.0 μB per formula unit
Offset from the most stable computed form: 0.060 eV/atom


Q: Which value of energy relative to the elements does entry 1 give?
A: -273 kJ per mole of atoms


What did the second record say?
The following is a GGA+U calculation of a relaxed MnMoO5 crystal, from the Materials Project.

```
14
Lattice="5.5518 0.0000 0.0000 -1.4782 5.6324 0.0000 -0.6476 -1.4606 6.9502" Properties=species:S:1:pos:R:3 pbc="T T T"
O 2.2883 2.3285 2.0265
O 1.1377 1.8433 4.9237
O 3.1715 3.9760 4.3199
O 0.3670 1.5148 0.0080
O 3.9599 1.1272 4.6816
O 1.5783 -0.8213 5.0910
O -0.5339 3.0447 2.2686
O 3.0590 2.6571 6.9422
O 0.2545 0.1959 2.6303
O 1.8477 4.9932 1.8592
Mn 3.3348 4.0918 2.0785
Mn 0.0912 0.0800 4.8717
Mo 0.6019 1.7714 1.7360
Mo 2.8241 2.4005 5.2142
```

Summary:
Energy relative to the elements: -160 kJ per mole of atoms
Magnetization: 3.0 μB per formula unit


Q: The highest energy relative to the elements belongs to which entry?
A: MnMoO5


Q: magnetization of number 7 (K3Mn4P5H3O20)?
A: 19.0 μB per formula unit